VASP calculation (PBE) on crystalline Na4TiZnSiP2O12 at its relaxed geometry.

The structure in POSCAR format:
```
Na4TiZnSiP2O12
1.0
7.820 -4.504 0.000
7.820 4.504 0.000
-0.006 0.000 21.940
Na Ti Zn Si P O
24 6 6 6 12 72
direct
0.129 0.484 0.002
0.133 0.867 0.500
0.148 0.797 0.169
0.153 0.532 0.666
0.158 0.160 0.418
0.160 0.158 0.918
0.198 0.469 0.332
0.200 0.819 0.835
0.463 0.817 0.333
0.469 0.198 0.832
0.484 0.129 0.502
0.484 0.865 0.998
0.492 0.497 0.252
0.497 0.492 0.752
0.532 0.153 0.166
0.532 0.800 0.665
0.797 0.148 0.669
0.800 0.532 0.165
0.817 0.463 0.833
0.819 0.200 0.335
0.822 0.831 0.585
0.831 0.822 0.085
0.865 0.484 0.498
0.867 0.133 0.000
0.160 0.162 0.265
0.162 0.160 0.765
0.482 0.498 0.099
0.498 0.482 0.599
0.831 0.836 0.432
0.836 0.831 0.932
0.159 0.160 0.066
0.160 0.159 0.566
0.494 0.496 0.399
0.496 0.494 0.899
0.820 0.836 0.733
0.836 0.820 0.233
0.126 0.827 0.329
0.160 0.454 0.162
0.199 0.790 0.995
0.454 0.160 0.662
0.790 0.199 0.495
0.827 0.126 0.829
0.117 0.535 0.829
0.164 0.866 0.663
0.200 0.496 0.496
0.453 0.867 0.163
0.496 0.200 0.996
0.497 0.784 0.497
0.535 0.117 0.329
0.535 0.829 0.830
0.784 0.497 0.997
0.829 0.535 0.330
0.866 0.164 0.163
0.867 0.453 0.663
0.008 0.134 0.825
0.010 0.797 0.992
0.011 0.837 0.670
0.019 0.665 0.493
0.037 0.642 0.772
0.044 0.793 0.270
0.129 0.355 0.826
0.129 0.975 0.606
0.131 0.369 0.103
0.134 0.008 0.325
0.172 0.980 0.003
0.175 0.341 0.503
0.190 0.960 0.720
0.194 0.323 0.222
0.289 0.527 0.553
0.297 0.510 0.836
0.297 0.658 0.055
0.308 0.466 0.439
0.315 0.662 0.337
0.315 0.706 0.936
0.323 0.194 0.722
0.332 0.956 0.220
0.334 0.688 0.660
0.341 0.175 0.003
0.341 0.965 0.503
0.343 0.463 0.158
0.354 0.999 0.826
0.355 0.129 0.326
0.369 0.131 0.603
0.376 0.974 0.106
0.463 0.343 0.658
0.465 0.709 0.440
0.466 0.308 0.939
0.467 0.686 0.160
0.508 0.676 0.835
0.510 0.297 0.336
0.524 0.665 0.554
0.527 0.289 0.053
0.624 0.859 0.887
0.625 0.998 0.386
0.632 0.845 0.171
0.642 0.037 0.272
0.643 0.796 0.773
0.644 0.996 0.667
0.658 0.297 0.555
0.662 0.315 0.837
0.665 0.019 0.993
0.665 0.524 0.054
0.666 0.794 0.493
0.676 0.508 0.335
0.686 0.467 0.660
0.688 0.334 0.160
0.706 0.315 0.436
0.709 0.465 0.940
0.793 0.044 0.770
0.794 0.666 0.993
0.796 0.643 0.273
0.797 0.010 0.492
0.837 0.011 0.170
0.845 0.632 0.671
0.859 0.624 0.387
0.861 0.991 0.889
0.956 0.332 0.720
0.960 0.190 0.220
0.965 0.341 0.003
0.974 0.376 0.606
0.975 0.129 0.106
0.980 0.172 0.503
0.991 0.861 0.389
0.996 0.644 0.167
0.998 0.625 0.886
0.999 0.354 0.326
```


VASP calculation (PBE) on crystalline Na6Ti3ZnSi2P4O24 at its relaxed geometry.

## Properties
Excess energy over the best structure of this formula in the dataset   0 meV per atom

The structure in POSCAR format:
```
Na6Ti3ZnSi2P4O24
1.0
8.910 0.000 0.000
4.453 7.729 0.000
0.103 -0.022 21.914
Na Ti Zn Si P O
18 9 3 6 12 72
direct
0.000 0.000 0.000
0.003 0.636 0.500
0.015 0.689 0.824
0.027 0.309 0.576
0.035 0.309 0.078
0.060 0.961 0.656
0.070 0.602 0.158
0.326 0.352 0.656
0.344 0.671 0.243
0.373 0.641 0.737
0.394 0.305 0.329
0.401 0.938 0.825
0.655 0.294 0.826
0.657 0.673 0.330
0.680 0.359 0.157
0.684 0.974 0.912
0.694 0.973 0.412
0.719 0.286 0.495
0.019 0.307 0.935
0.022 0.306 0.725
0.030 0.300 0.228
0.033 0.304 0.429
0.357 0.638 0.391
0.359 0.638 0.897
0.681 0.981 0.057
0.683 0.975 0.561
0.697 0.972 0.270
0.359 0.641 0.591
0.364 0.647 0.094
0.693 0.975 0.762
0.027 0.597 0.328
0.030 0.012 0.830
0.313 0.013 0.328
0.356 0.344 0.498
0.650 0.348 0.000
0.738 0.305 0.330
0.064 0.637 0.999
0.066 0.936 0.498
0.306 0.315 0.829
0.359 0.934 0.996
0.398 0.975 0.667
0.399 0.258 0.164
0.651 0.643 0.495
0.692 0.689 0.164
0.694 0.269 0.664
0.735 0.590 0.830
0.976 0.979 0.161
0.982 0.679 0.665
0.011 0.135 0.888
0.031 0.122 0.489
0.041 0.480 0.987
0.056 0.112 0.769
0.062 0.472 0.268
0.153 0.814 0.161
0.159 0.868 0.559
0.162 0.668 0.943
0.164 0.612 0.057
0.165 0.656 0.661
0.169 0.809 0.445
0.185 0.323 0.488
0.190 0.110 0.269
0.199 0.340 0.770
0.201 0.611 0.337
0.203 0.120 0.986
0.206 0.299 0.884
0.208 0.822 0.834
0.217 0.275 0.163
0.220 0.152 0.665
0.221 0.147 0.385
0.307 0.865 0.050
0.311 0.461 0.558
0.322 0.481 0.834
0.339 0.821 0.336
0.362 0.826 0.659
0.380 0.439 0.164
0.383 0.820 0.937
0.392 0.441 0.439
0.487 0.154 0.828
0.491 0.959 0.727
0.501 0.150 0.107
0.504 0.994 0.612
0.505 0.163 0.222
0.506 0.995 0.323
0.526 0.451 0.939
0.526 0.945 0.001
0.533 0.667 0.164
0.537 0.154 0.505
0.537 0.449 0.657
0.545 0.480 0.335
0.546 0.668 0.436
0.556 0.599 0.833
0.572 0.607 0.551
0.577 0.454 0.061
0.670 0.192 0.724
0.674 0.151 0.000
0.676 0.805 0.503
0.686 0.788 0.223
0.706 0.141 0.323
0.708 0.789 0.108
0.711 0.773 0.828
0.719 0.147 0.608
0.828 0.342 0.269
0.830 0.476 0.773
0.838 0.482 0.490
0.847 0.499 0.887
0.851 0.313 0.990
0.853 0.281 0.390
0.853 0.788 0.323
0.858 0.994 0.829
0.863 0.508 0.163
0.869 0.272 0.666
0.869 0.998 0.102
0.871 0.776 0.607
0.873 0.967 0.217
0.884 0.807 0.999
0.884 0.947 0.499
0.901 0.780 0.724
0.983 0.150 0.165
0.991 0.508 0.387
0.999 0.495 0.666
```


VASP calculation (PBE) on crystalline Na7Ti2Zn2SiP5O24 at its relaxed geometry.

The structure in POSCAR format:
```
Na7Ti2Zn2SiP5O24
1.0
8.961 0.000 0.000
4.478 7.765 0.000
0.120 0.006 21.892
Na Ti Zn Si P O
21 6 6 3 15 72
direct
0.000 0.000 0.000
0.000 0.266 0.500
0.013 0.619 0.249
0.045 0.934 0.334
0.049 0.284 0.832
0.315 0.664 0.833
0.327 0.334 0.668
0.330 0.599 0.165
0.344 0.962 0.415
0.354 0.962 0.913
0.380 0.269 0.001
0.648 0.615 0.999
0.648 0.998 0.499
0.662 0.669 0.332
0.663 0.307 0.580
0.671 0.298 0.081
0.714 0.947 0.169
0.715 0.602 0.667
0.980 0.952 0.666
0.982 0.334 0.167
0.998 0.632 0.749
0.009 0.634 0.902
0.014 0.623 0.401
0.335 0.960 0.568
0.346 0.950 0.068
0.670 0.302 0.235
0.682 0.292 0.735
0.008 0.626 0.100
0.010 0.623 0.600
0.347 0.966 0.268
0.347 0.966 0.768
0.668 0.300 0.434
0.669 0.299 0.933
0.046 0.257 0.672
0.304 0.629 0.005
0.639 0.664 0.172
0.012 0.333 0.003
0.014 0.917 0.504
0.047 0.965 0.172
0.303 0.333 0.505
0.344 0.668 0.672
0.345 0.251 0.170
0.379 0.586 0.337
0.381 0.295 0.838
0.632 0.964 0.669
0.677 0.001 0.338
0.677 0.591 0.837
0.712 0.630 0.503
0.715 0.920 0.004
0.965 0.999 0.838
0.969 0.296 0.338
0.016 0.450 0.665
0.022 0.809 0.165
0.036 0.801 0.446
0.037 0.429 0.946
0.138 0.995 0.114
0.145 0.123 0.611
0.146 0.136 0.329
0.149 0.971 0.832
0.155 0.936 0.228
0.160 0.176 0.731
0.171 0.662 0.945
0.176 0.434 0.449
0.182 0.932 0.506
0.183 0.156 0.006
0.187 0.646 0.663
0.192 0.434 0.164
0.197 0.600 0.342
0.199 0.469 0.839
0.222 0.595 0.064
0.228 0.433 0.563
0.307 0.173 0.225
0.309 0.153 0.505
0.310 0.813 0.007
0.313 0.774 0.729
0.349 0.770 0.331
0.350 0.143 0.833
0.375 0.134 0.111
0.376 0.763 0.616
0.469 0.471 0.278
0.474 0.323 0.780
0.480 0.275 0.896
0.487 0.300 0.497
0.496 0.466 0.998
0.496 0.505 0.391
0.506 0.762 0.112
0.513 0.487 0.674
0.514 0.995 0.611
0.515 0.766 0.829
0.518 0.258 0.175
0.525 0.970 0.334
0.534 0.932 0.006
0.536 0.802 0.506
0.557 0.780 0.232
0.557 0.923 0.724
0.639 0.137 0.674
0.647 0.473 0.175
0.648 0.512 0.894
0.659 0.101 0.396
0.692 0.100 0.996
0.697 0.469 0.496
0.704 0.094 0.281
0.704 0.465 0.780
0.809 0.657 0.446
0.810 0.794 0.949
0.817 0.813 0.662
0.818 0.847 0.062
0.819 0.601 0.561
0.831 0.636 0.164
0.845 0.327 0.281
0.850 0.095 0.780
0.850 0.593 0.839
0.850 0.818 0.340
0.855 0.266 0.675
0.858 0.100 0.498
0.858 0.303 0.996
0.866 0.134 0.174
0.886 0.109 0.895
0.890 0.266 0.395
0.974 0.469 0.341
0.975 0.441 0.060
0.978 0.818 0.840
0.983 0.840 0.561
```


no.,energy relative to the elements (eV per atom)
1,-2.6972
2,-2.8578
3,-2.6943